# 1
Eu2H4Pd: relaxed, PBE-GGA.

The calculation puts the calculated total energy at -0.453 Ry/atom.

The structure belongs to space group Pnma (No. 62); the cell edges are 7.4763, 5.4019 and 9.5258 Å and the angles 90.00°, 90.00° and 90.00°. The distinct sites, in fractional coordinates, are Eu at (0.0112, 0.2500, 0.1693), Eu at (0.1510, 0.7500, 0.4080), H at (0.0016, 0.7500, 0.1020), H at (0.1727, 0.5217, 0.6605), H at (0.1774, 0.2500, 0.4048) and Pd at (0.2396, 0.7500, 0.0843).

# 2
Zn5Se4S: relaxed, PBE-GGA.

The calculation puts the calculated total energy at -0.232 Ry/atom.

The structure belongs to space group R3m (No. 160, hexagonal axes); the cell edges are 4.0343, 4.0343 and 49.3363 Å and the angles 90.00°, 90.00° and 120.00°. The distinct sites, in fractional coordinates, are Zn at (0.0000, 0.0000, 0.0000), Zn at (0.0000, 0.0000, 0.1980), Zn at (0.0000, 0.0000, 0.3959), Zn at (0.0000, 0.0000, 0.5985), Zn at (0.0000, 0.0000, 0.7974), Se at (0.0000, 0.0000, 0.1478), Se at (0.0000, 0.0000, 0.5483), Se at (0.0000, 0.0000, 0.7469), Se at (0.0000, 0.0000, 0.9493) and S at (0.0000, 0.0000, 0.3478).

What is the calculated total energy in the second record?
-0.232 Ry/atom

What is the calculated total energy in the first record?
-0.453 Ry/atom

Look up the calculated total energy of the second one.
-0.232 Ry/atom